The following is a DFT calculation (meta-GGA r2SCAN) of crystalline CaPd5 at its relaxed geometry. Values from VASP.

Geometry as Quantum ESPRESSO input:
```
&SYSTEM
  ibrav = 0, nat = 6, ntyp = 2
/
ATOMIC_SPECIES
Ca 40.08 Ca.upf
Pd 106.42 Pd.upf
ATOMIC_POSITIONS angstrom
Ca 0.000 0.000 0.000
Pd -1.326 2.297 2.212
Pd 0.000 3.063 0.000
Pd 2.652 0.000 2.212
Pd 1.326 2.297 2.212
Pd 2.652 1.531 0.000
CELL_PARAMETERS angstrom
5.305 0.000 0.000
-2.652 4.594 0.000
0.000 0.000 4.424
```

## Properties
Energy of formation from the pure elements   -0.3663 eV per atom

The following is a DFT calculation (meta-GGA r2SCAN) of crystalline Ca3Pd at its relaxed geometry. Values from VASP.

Geometry as Quantum ESPRESSO input:
```
&SYSTEM
  ibrav = 0, nat = 16, ntyp = 2
/
ATOMIC_SPECIES
Ca 40.08 Ca.upf
Pd 106.42 Pd.upf
ATOMIC_POSITIONS angstrom
Ca 0.324 2.429 0.945
Ca 1.322 0.644 4.418
Ca 1.322 4.215 4.418
Ca 2.576 5.503 1.091
Ca 2.576 9.073 1.091
Ca 3.574 7.288 4.272
Ca 4.222 2.429 2.382
Ca 5.221 0.644 5.562
Ca 5.221 4.215 5.562
Ca 6.474 5.503 2.235
Ca 6.474 9.073 2.235
Ca 7.472 7.288 5.709
Pd 0.956 7.288 3.018
Pd 2.942 2.429 6.345
Pd 4.855 7.288 0.309
Pd 6.840 2.429 3.636
CELL_PARAMETERS angstrom
7.796 0.000 0.000
0.000 9.718 0.000
0.000 0.000 6.654
```

## Properties
Energy of formation from the pure elements   -0.4153 eV per atom

The following is a DFT calculation (meta-GGA r2SCAN) of crystalline CaPmPd2 at its relaxed geometry. Values from VASP.

Geometry as Quantum ESPRESSO input:
```
&SYSTEM
  ibrav = 0, nat = 16, ntyp = 3
/
ATOMIC_SPECIES
Ca 40.08 Ca.upf
Pm 145.00 Pm.upf
Pd 106.42 Pd.upf
ATOMIC_POSITIONS angstrom
Ca 0.000 0.000 0.000
Ca 0.000 3.544 3.544
Ca 3.544 0.000 3.544
Ca 3.544 3.544 0.000
Pm 0.000 0.000 3.544
Pm 0.000 3.544 0.000
Pm 3.544 0.000 0.000
Pm 3.544 3.544 3.544
Pd 1.772 1.772 1.772
Pd 1.772 1.772 5.316
Pd 1.772 5.316 1.772
Pd 1.772 5.316 5.316
Pd 5.316 1.772 1.772
Pd 5.316 1.772 5.316
Pd 5.316 5.316 1.772
Pd 5.316 5.316 5.316
CELL_PARAMETERS angstrom
7.088 0.000 0.000
0.000 7.088 0.000
0.000 0.000 7.088
```

## Properties
Energy of formation from the pure elements   -0.7544 eV per atom

Copy entry 2 word for word.
The following is a DFT calculation (meta-GGA r2SCAN) of crystalline Ca3Pd at its relaxed geometry. Values from VASP.

Geometry as Quantum ESPRESSO input:
```
&SYSTEM
  ibrav = 0, nat = 16, ntyp = 2
/
ATOMIC_SPECIES
Ca 40.08 Ca.upf
Pd 106.42 Pd.upf
ATOMIC_POSITIONS angstrom
Ca 0.324 2.429 0.945
Ca 1.322 0.644 4.418
Ca 1.322 4.215 4.418
Ca 2.576 5.503 1.091
Ca 2.576 9.073 1.091
Ca 3.574 7.288 4.272
Ca 4.222 2.429 2.382
Ca 5.221 0.644 5.562
Ca 5.221 4.215 5.562
Ca 6.474 5.503 2.235
Ca 6.474 9.073 2.235
Ca 7.472 7.288 5.709
Pd 0.956 7.288 3.018
Pd 2.942 2.429 6.345
Pd 4.855 7.288 0.309
Pd 6.840 2.429 3.636
CELL_PARAMETERS angstrom
7.796 0.000 0.000
0.000 9.718 0.000
0.000 0.000 6.654
```

## Properties
Energy of formation from the pure elements   -0.4153 eV per atom

Q: Among the records above, which one has the highest energy of formation from the pure elements?
A: CaPd5